This record from Materials Project describes Na5LiMn2P2C2O14 after structural relaxation. The functional is PBE+U.

abc: 6.8131 8.9800 10.3518
angles: 90.14 90.15 90.29
Closest atoms and distances in Å follow each position.
Positions (direct):
1 O 0.7670 0.0885 0.8510  1 C 1.30
2 O 0.5682 0.3112 0.6123  1 P 1.56
3 O 0.0669 0.6805 0.3920  1 P 1.56
4 O 0.7529 0.4292 0.2969  1 P 1.56
5 O 0.7502 0.8835 0.9784  1 C 1.30
6 O 0.2480 0.1231 0.0181  1 C 1.30
7 O 0.7505 0.8538 0.2725  1 C 1.31
8 O 0.5648 0.3197 0.1069  1 P 1.56
9 O 0.4324 0.6738 0.8935  1 P 1.56
10 O 0.9312 0.3194 0.1029  1 P 1.56
11 O 0.2364 0.4263 0.9089  1 P 1.56
12 O 0.2503 0.4317 0.4141  1 P 1.55
13 O 0.4342 0.6810 0.3921  1 P 1.56
14 O 0.7492 0.0864 0.3542  1 C 1.29
15 O 0.7504 0.5625 0.5885  1 P 1.56
16 O 0.2497 0.1228 0.5195  1 C 1.30
17 O 0.2452 0.1453 0.7358  1 C 1.30
18 O 0.7492 0.8595 0.7624  1 C 1.30
19 O 0.9322 0.3107 0.6063  1 P 1.55
20 O 0.7620 0.4235 0.8006  1 P 1.57
21 O 0.2484 0.1447 0.2344  1 C 1.30
22 O 0.2506 0.9172 0.6438  1 C 1.30
23 O 0.7498 0.5694 0.0863  1 P 1.55
24 O 0.2508 0.9169 0.1420  1 C 1.30
25 O 0.2486 0.5702 0.7001  1 P 1.56
26 O 0.7506 0.8902 0.4887  1 C 1.30
27 O 0.2494 0.5697 0.2016  1 P 1.56
28 O 0.0656 0.6808 0.8909  1 P 1.56
29 P 0.7498 0.4114 0.1467  4 O 1.55-1.56
30 P 0.7530 0.4046 0.6500  4 O 1.55-1.57
31 P 0.2459 0.5856 0.8503  4 O 1.56
32 P 0.2500 0.5883 0.3518  4 O 1.55-1.56
33 Na 0.0007 0.7420 0.6239  6 O 2.32-2.58
34 Na 0.4982 0.7406 0.1240  5 O 2.33-2.51
35 Na 0.2478 0.9178 0.8795  5 O 2.33-2.54
36 Na 0.9986 0.2588 0.3775  6 O 2.30-2.57
37 Na 0.7518 0.0842 0.1197  4 O 2.32-2.48
38 Na 0.5020 0.2581 0.8750  6 O 2.38-2.58
39 Na 0.2503 0.9176 0.3806  5 O 2.33-2.54
40 Na 0.4993 0.7417 0.6237  6 O 2.33-2.58
41 Na 0.0020 0.7408 0.1243  5 O 2.32-2.52
42 Na 0.5015 0.2592 0.3774  6 O 2.31-2.57
43 C 0.7501 0.9440 0.3717  3 O 1.29-1.31
44 C 0.2483 0.0611 0.6332  3 O 1.30
45 C 0.7558 0.9448 0.8643  3 O 1.30
46 C 0.2491 0.0609 0.1315  3 O 1.30
47 Mn 0.2478 0.3609 0.1091  6 O 2.10-2.34
48 Mn 0.2489 0.3592 0.6127  6 O 2.10-2.33
49 Mn 0.7501 0.6375 0.3898  5 O 2.10-2.29
50 Mn 0.7496 0.6372 0.8878  4 O 2.12-2.19
51 Li 0.7528 0.0848 0.6226  5 O 2.23-2.49
52 Li 0.9920 0.2675 0.8779  4 O 2.21-2.41

As for the total DFT energy (no corrections): -347.940 eV/cell. Its energy above the most stable polymorph in this dataset is 7 meV/atom.